# 1
Computed, not measured: a relaxed Ti3Si crystal at the PBE level of DFT.

a = 10.1553 Å, b = 10.1553 Å, c = 5.0777 Å
α = 90.00°, β = 90.00°, γ = 90.00°
Positions (direct):
Ti  0.0331  0.5678  0.2460
Ti  0.0678  0.9669  0.7460
Ti  0.1082  0.2220  0.0333
Ti  0.1432  0.6687  0.7166
Ti  0.1687  0.8568  0.2166
Ti  0.2220  0.3918  0.4667
Ti  0.2780  0.1082  0.4667
Ti  0.3313  0.6432  0.2166
Ti  0.3568  0.8313  0.7166
Ti  0.3918  0.2780  0.0333
Ti  0.4322  0.5331  0.7460
Ti  0.4669  0.9322  0.2460
Ti  0.5331  0.0678  0.7540
Ti  0.5678  0.4669  0.2540
Ti  0.6082  0.7220  0.9667
Ti  0.6432  0.1687  0.2834
Ti  0.6687  0.3568  0.7834
Ti  0.7220  0.8918  0.5333
Ti  0.7780  0.6082  0.5333
Ti  0.8313  0.1432  0.7834
Ti  0.8568  0.3313  0.2834
Ti  0.8918  0.7780  0.9667
Ti  0.9322  0.0331  0.2540
Ti  0.9669  0.4322  0.7540
Si  0.0447  0.2081  0.5396
Si  0.2081  0.4553  0.9604
Si  0.2919  0.0447  0.9604
Si  0.4553  0.2919  0.5396
Si  0.5447  0.7081  0.4604
Si  0.7081  0.9553  0.0396
Si  0.7919  0.5447  0.0396
Si  0.9553  0.7919  0.4604

Summary:
E_form in eV/atom: -0.48
Total energy in Ry per atom: -0.57134
Symmetry: No. 86


# 2
Computed, not measured: a relaxed U2Ti3Si4 crystal at the PBE level of DFT.

a = 6.8664 Å, b = 6.8522 Å, c = 6.9710 Å
α = 90.00°, β = 110.66°, γ = 90.00°
Positions (direct):
U  0.1518  0.1305  0.0510
U  0.1518  0.3695  0.5510
U  0.8482  0.6305  0.4490
U  0.8482  0.8695  0.9490
Ti  0.2545  0.6837  0.2515
Ti  0.2545  0.8163  0.7515
Ti  0.5000  0.0000  0.5000
Ti  0.5000  0.5000  0.0000
Ti  0.7455  0.1837  0.2485
Ti  0.7455  0.3163  0.7485
Si  0.0873  0.5362  0.8826
Si  0.0873  0.9638  0.3826
Si  0.4761  0.1338  0.8608
Si  0.4761  0.3662  0.3608
Si  0.5239  0.6338  0.6392
Si  0.5239  0.8662  0.1392
Si  0.9127  0.0362  0.6174
Si  0.9127  0.4638  0.1174

Summary:
E_form in eV/atom: -0.55
Total energy in Ry per atom: -0.59790
Symmetry: No. 14


# 3
Computed, not measured: a relaxed Ti3V2Si3 crystal at the PBE level of DFT.

a = 7.3374 Å, b = 7.3374 Å, c = 4.9409 Å
α = 90.00°, β = 90.00°, γ = 120.00°
Positions (direct):
Ti  0.0000  0.2448  0.2500
Ti  0.0000  0.7552  0.7500
Ti  0.2448  0.0000  0.2500
Ti  0.2448  0.2448  0.7500
Ti  0.7552  0.0000  0.7500
Ti  0.7552  0.7552  0.2500
V  0.3333  0.6667  0.0000
V  0.3333  0.6667  0.5000
V  0.6667  0.3333  0.0000
V  0.6667  0.3333  0.5000
Si  0.0000  0.3996  0.7500
Si  0.0000  0.6004  0.2500
Si  0.3996  0.0000  0.7500
Si  0.3996  0.3996  0.2500
Si  0.6004  0.0000  0.2500
Si  0.6004  0.6004  0.7500

Summary:
E_form in eV/atom: -0.72
Total energy in Ry per atom: -0.58924
Symmetry: No. 193


# 4
Computed, not measured: a relaxed Ti2Si6W crystal at the PBE level of DFT.

a = 4.7202 Å, b = 4.7202 Å, c = 6.5199 Å
α = 90.00°, β = 90.00°, γ = 120.01°
Positions (direct):
Ti  0.0000  0.5000  0.1678
Ti  0.5000  0.0000  0.8322
Si  0.1833  0.3449  0.8338
Si  0.3353  0.6647  0.5000
Si  0.3449  0.1833  0.1662
Si  0.6551  0.8167  0.1662
Si  0.6647  0.3353  0.5000
Si  0.8167  0.6551  0.8338
W  0.0000  0.0000  0.5000

Summary:
E_form in eV/atom: -0.50
Total energy in Ry per atom: -0.53730
Symmetry: No. 21


# 5
Computed, not measured: a relaxed YTiSi crystal at the PBE level of DFT.

a = 4.0372 Å, b = 4.0372 Å, c = 7.5951 Å
α = 90.00°, β = 90.00°, γ = 90.00°
Positions (direct):
Y  0.2500  0.2500  0.1557
Y  0.7500  0.7500  0.8443
Ti  0.2500  0.7500  0.5000
Ti  0.7500  0.2500  0.5000
Si  0.2500  0.2500  0.7366
Si  0.7500  0.7500  0.2634

Summary:
E_form in eV/atom: -0.65
Total energy in Ry per atom: -0.53420
Symmetry: No. 129


# 6
Computed, not measured: a relaxed TmSi crystal at the PBE level of DFT.

a = 5.6033 Å, b = 5.6033 Å, c = 3.7957 Å
α = 90.00°, β = 90.00°, γ = 135.91°
Positions (direct):
Tm  0.1405  0.8595  0.7500
Tm  0.8595  0.1405  0.2500
Si  0.4222  0.5778  0.7500
Si  0.5778  0.4222  0.2500

Summary:
E_form in eV/atom: -0.78
Total energy in Ry per atom: -0.42395
Symmetry: No. 63


# 7
Computed, not measured: a relaxed Tm5Si3 crystal at the PBE level of DFT.

a = 8.3195 Å, b = 8.3195 Å, c = 6.2331 Å
α = 90.00°, β = 90.00°, γ = 120.00°
Positions (direct):
Tm  0.0000  0.2429  0.2500
Tm  0.0000  0.7571  0.7500
Tm  0.2429  0.0000  0.2500
Tm  0.2429  0.2429  0.7500
Tm  0.3333  0.6667  0.0000
Tm  0.3333  0.6667  0.5000
Tm  0.6667  0.3333  0.0000
Tm  0.6667  0.3333  0.5000
Tm  0.7571  0.0000  0.7500
Tm  0.7571  0.7571  0.2500
Si  0.0000  0.3936  0.7500
Si  0.0000  0.6064  0.2500
Si  0.3936  0.0000  0.7500
Si  0.3936  0.3936  0.2500
Si  0.6064  0.0000  0.2500
Si  0.6064  0.6064  0.7500

Summary:
E_form in eV/atom: -0.68
Total energy in Ry per atom: -0.40682
Symmetry: No. 193


# 8
Computed, not measured: a relaxed U3Si2 crystal at the PBE level of DFT.

a = 7.2390 Å, b = 7.2390 Å, c = 3.9050 Å
α = 90.00°, β = 90.00°, γ = 90.00°
Positions (direct):
U  0.0000  0.0000  0.0000
U  0.1843  0.3157  0.5000
U  0.3157  0.8157  0.5000
U  0.5000  0.5000  0.0000
U  0.6843  0.1843  0.5000
U  0.8157  0.6843  0.5000
Si  0.1151  0.6151  0.0000
Si  0.3849  0.1151  0.0000
Si  0.6151  0.8849  0.0000
Si  0.8849  0.3849  0.0000

Summary:
E_form in eV/atom: -0.10
Total energy in Ry per atom: -0.66717
Symmetry: No. 127


# 9
Computed, not measured: a relaxed USi crystal at the PBE level of DFT.

a = 8.6239 Å, b = 3.6065 Å, c = 5.0226 Å
α = 90.00°, β = 90.00°, γ = 90.00°
Positions (direct):
U  0.2135  0.2500  0.1348
U  0.2865  0.7500  0.6348
U  0.7135  0.2500  0.3652
U  0.7865  0.7500  0.8652
Si  0.0211  0.2500  0.6583
Si  0.4789  0.7500  0.1583
Si  0.5211  0.2500  0.8417
Si  0.9789  0.7500  0.3417

Summary:
E_form in eV/atom: -0.17
Total energy in Ry per atom: -0.62973
Symmetry: No. 62


# 10
Computed, not measured: a relaxed USi3 crystal at the PBE level of DFT.

a = 4.0206 Å, b = 4.0206 Å, c = 4.0206 Å
α = 90.00°, β = 90.00°, γ = 90.00°
Positions (direct):
U  0.0000  0.0000  0.0000
Si  0.0000  0.5000  0.5000
Si  0.5000  0.0000  0.5000
Si  0.5000  0.5000  0.0000

Summary:
E_form in eV/atom: -0.32
Total energy in Ry per atom: -0.53419
Symmetry: No. 221


# 11
Computed, not measured: a relaxed USi2 crystal at the PBE level of DFT.

a = 4.0231 Å, b = 4.0231 Å, c = 3.8469 Å
α = 90.00°, β = 90.00°, γ = 120.00°
Positions (direct):
U  0.0000  0.0000  0.0000
Si  0.3333  0.6667  0.5000
Si  0.6667  0.3333  0.5000

Summary:
E_form in eV/atom: -0.28
Total energy in Ry per atom: -0.56675
Symmetry: No. 191


# 12
Computed, not measured: a relaxed U3Si crystal at the PBE level of DFT.

a = 4.2548 Å, b = 4.2548 Å, c = 4.2548 Å
α = 90.00°, β = 90.00°, γ = 90.00°
Positions (direct):
U  0.0000  0.0000  0.5000
U  0.0000  0.5000  0.0000
U  0.5000  0.0000  0.0000
Si  0.5000  0.5000  0.5000

Summary:
E_form in eV/atom: -0.21
Total energy in Ry per atom: -0.73868
Symmetry: No. 221
Energy above the most stable polymorph in this dataset in eV/atom: 0.018